#A
Material: BaYI5
Method: DFT, PBE
State: optimized geometry

Geometry as CIF:
```
data_BaYI5
_chemical_formula_sum 'Ba4 Y4 I20'
_cell_length_a 6.4556
_cell_length_b 21.9445
_cell_length_c 7.8106
_cell_angle_alpha 90.00
_cell_angle_beta 93.58
_cell_angle_gamma 90.00
_symmetry_space_group_name_H-M 'C 1 2/c 1'
_symmetry_Int_Tables_number 15
loop_
_symmetry_equiv_pos_as_xyz
'x,y,z'
'-x,-y,-z'
'-x,y,-z+1/2'
'x,-y,z+1/2'
'x+1/2,y+1/2,z'
'-x+1/2,-y+1/2,-z'
'-x+1/2,y+1/2,-z+1/2'
'x+1/2,-y+1/2,z+1/2'
loop_
_atom_site_label
_atom_site_fract_x
_atom_site_fract_y
_atom_site_fract_z
_atom_site_occupancy
Ba1 0.0000 0.1722 0.2500 1
Y1 0.0000 0.4228 0.2500 1
I1 0.0000 0.1304 0.7500 1
I2 0.0052 0.3105 0.9973 1
I3 0.2436 0.4680 0.5966 1
```

***

#B
Material: BaYI5
Method: DFT, PBE
State: optimized geometry

Geometry as CIF:
```
data_BaYI5
_chemical_formula_sum 'Ba8 Y8 I40'
_cell_length_a 8.2707
_cell_length_b 27.0566
_cell_length_c 14.1101
_cell_angle_alpha 90.00
_cell_angle_beta 124.90
_cell_angle_gamma 90.00
_symmetry_space_group_name_H-M 'P 1 21/c 1'
_symmetry_Int_Tables_number 14
loop_
_symmetry_equiv_pos_as_xyz
'x,y,z'
'-x,-y,-z'
'-x,y+1/2,-z+1/2'
'x,-y+1/2,z+1/2'
loop_
_atom_site_label
_atom_site_fract_x
_atom_site_fract_y
_atom_site_fract_z
_atom_site_occupancy
Ba1 0.1492 0.2401 0.4884 1
Ba2 0.1572 0.5280 0.7495 1
Y1 0.1965 0.6285 0.4430 1
Y2 0.3442 0.6131 0.1092 1
I1 0.0035 0.7262 0.3285 1
I2 0.0595 0.1250 0.6039 1
I3 0.1477 0.5755 0.2346 1
I4 0.1694 0.6497 0.6446 1
I5 0.2410 0.0906 0.1752 1
I6 0.2887 0.5239 0.5382 1
I7 0.3267 0.5035 0.0549 1
I8 0.3676 0.7131 0.2071 1
I9 0.3944 0.1618 0.9481 1
I10 0.4667 0.1437 0.5092 1
```

***

#C
Material: BaYI5
Method: DFT, PBE
State: optimized geometry

Geometry as CIF:
```
data_BaYI5
_chemical_formula_sum 'Ba8 Y8 I40'
_cell_length_a 13.9214
_cell_length_b 11.7422
_cell_length_c 20.3076
_cell_angle_alpha 90.00
_cell_angle_beta 128.77
_cell_angle_gamma 90.00
_symmetry_space_group_name_H-M 'P 1 21/c 1'
_symmetry_Int_Tables_number 14
loop_
_symmetry_equiv_pos_as_xyz
'x,y,z'
'-x,-y,-z'
'-x,y+1/2,-z+1/2'
'x,-y+1/2,z+1/2'
loop_
_atom_site_label
_atom_site_fract_x
_atom_site_fract_y
_atom_site_fract_z
_atom_site_occupancy
Ba1 0.1682 0.2174 0.3606 1
Ba2 0.2986 0.7340 0.5387 1
Y1 0.2876 0.6918 0.3072 1
Y2 0.2910 0.2218 0.6640 1
I1 0.0554 0.2198 0.6394 1
I2 0.0803 0.7306 0.1261 1
I3 0.1287 0.5497 0.3303 1
I4 0.2173 0.6007 0.8570 1
I5 0.2289 0.0427 0.5343 1
I6 0.2361 0.0896 0.0464 1
I7 0.3890 0.0251 0.7924 1
I8 0.4022 0.1320 0.3178 1
I9 0.4331 0.6862 0.7615 1
I10 0.4906 0.1815 0.0076 1
```

***

#B is preferred energetically. Next in line: 10 meV per atom higher.

***

#A
Material: Ba6YI15
Method: DFT, PBE
State: optimized geometry

Geometry as CIF:
```
data_Ba6YI15
_chemical_formula_sum 'Ba24 Y4 I60'
_cell_length_a 17.8850
_cell_length_b 13.3055
_cell_length_c 26.4389
_cell_angle_alpha 90.00
_cell_angle_beta 114.64
_cell_angle_gamma 90.00
_symmetry_space_group_name_H-M 'P 1 21/c 1'
_symmetry_Int_Tables_number 14
loop_
_symmetry_equiv_pos_as_xyz
'x,y,z'
'-x,-y,-z'
'-x,y+1/2,-z+1/2'
'x,-y+1/2,z+1/2'
loop_
_atom_site_label
_atom_site_fract_x
_atom_site_fract_y
_atom_site_fract_z
_atom_site_occupancy
Ba1 0.0554 0.1252 0.4507 1
Ba2 0.0752 0.6245 0.4672 1
Ba3 0.3706 0.6268 0.6147 1
Ba4 0.3788 0.1224 0.6179 1
Ba5 0.3975 0.1315 0.4139 1
Ba6 0.4024 0.6199 0.4093 1
Y1 0.1320 0.1260 0.7167 1
I1 0.0023 0.5334 0.1810 1
I2 0.0075 0.2112 0.1707 1
I3 0.0883 0.6177 0.9965 1
I4 0.0959 0.1323 0.0026 1
I5 0.1796 0.6342 0.6095 1
I6 0.1877 0.1195 0.6270 1
I7 0.2279 0.2202 0.3025 1
I8 0.2387 0.5340 0.2937 1
I9 0.2607 0.1162 0.4749 1
I10 0.2683 0.6317 0.4702 1
I11 0.4224 0.1261 0.1142 1
I12 0.4327 0.6250 0.1158 1
I13 0.4630 0.6238 0.9366 1
I14 0.4679 0.1252 0.9433 1
I15 0.4898 0.1261 0.7534 1
```

***

#B
Material: Ba6YI15
Method: DFT, PBE
State: optimized geometry

Geometry as CIF:
```
data_Ba6YI15
_chemical_formula_sum 'Ba48 Y8 I120'
_cell_length_a 16.7094
_cell_length_b 17.2734
_cell_length_c 34.3849
_cell_angle_alpha 90.00
_cell_angle_beta 90.05
_cell_angle_gamma 90.00
_symmetry_space_group_name_H-M 'C 1 2/c 1'
_symmetry_Int_Tables_number 15
loop_
_symmetry_equiv_pos_as_xyz
'x,y,z'
'-x,-y,-z'
'-x,y,-z+1/2'
'x,-y,z+1/2'
'x+1/2,y+1/2,z'
'-x+1/2,-y+1/2,-z'
'-x+1/2,y+1/2,-z+1/2'
'x+1/2,-y+1/2,z+1/2'
loop_
_atom_site_label
_atom_site_fract_x
_atom_site_fract_y
_atom_site_fract_z
_atom_site_occupancy
Ba1 0.0159 0.0107 0.3839 1
Ba2 0.0320 0.4258 0.6427 1
Ba3 0.1994 0.2547 0.3649 1
Ba4 0.2153 0.0335 0.2575 1
Ba5 0.2273 0.4515 0.5234 1
Ba6 0.2420 0.3218 0.1292 1
Y1 0.2273 0.4797 0.8869 1
I1 0.0713 0.1408 0.3082 1
I2 0.1011 0.4352 0.0776 1
I3 0.1068 0.1042 0.8126 1
I4 0.1105 0.1492 0.4389 1
I5 0.1112 0.4304 0.3283 1
I6 0.1212 0.3852 0.9383 1
I7 0.1357 0.3054 0.5788 1
I8 0.1367 0.4288 0.1988 1
I9 0.1393 0.1527 0.1127 1
I10 0.1397 0.0382 0.5542 1
I11 0.1430 0.1002 0.9434 1
I12 0.1450 0.3857 0.4365 1
I13 0.1529 0.0630 0.6716 1
I14 0.1665 0.3213 0.7025 1
I15 0.1664 0.3542 0.8233 1
```

***

#B is preferred energetically. Next in line: 38 meV per atom higher.